[1]
CaZnSn after structural relaxation, computed with PBE.

**Theoretical density**: 5.13 g/cm3
**Energy of formation from the pure elements**: -0.5168 eV/atom

CIF file:
```
data_CaZnSn
_cell_length_a 4.7057
_cell_length_b 4.7057
_cell_length_c 7.5657
_cell_angle_alpha 90.00
_cell_angle_beta 90.00
_cell_angle_gamma 120.00
_symmetry_space_group_name_H-M 'P 63 m c'
_symmetry_Int_Tables_number 186
_symmetry_space_group_name_Hall 'P 6c -2c'
loop_
_atom_site_label
_atom_site_type_symbol
_atom_site_fract_x
_atom_site_fract_y
_atom_site_fract_z
_atom_site_occupancy
Ca1 Ca 0.0000 0.0000 0.0000 1
Zn1 Zn 0.3333 0.6667 0.1912 1
Sn1 Sn 0.3333 0.6667 0.7817 1
```



[2]
CaZnSn after structural relaxation, computed with PBE.

**Theoretical density**: 4.91 g/cm3
**Size of the total moment**: 0.0002 μB per atom
**Energy of formation from the pure elements**: -0.4823 eV/atom

CIF file:
```
data_CaZnSn
_cell_length_a 4.6233
_cell_length_b 4.6233
_cell_length_c 8.1843
_cell_angle_alpha 90.00
_cell_angle_beta 90.00
_cell_angle_gamma 120.00
_symmetry_space_group_name_H-M 'P 63/m m c'
_symmetry_Int_Tables_number 194
_symmetry_space_group_name_Hall '-P 6c 2c'
loop_
_atom_site_label
_atom_site_type_symbol
_atom_site_fract_x
_atom_site_fract_y
_atom_site_fract_z
_atom_site_occupancy
Ca1 Ca 0.0000 0.0000 0.0000 1
Zn1 Zn 0.3333 0.6667 0.2500 1
Sn1 Sn 0.3333 0.6667 0.7500 1
```



[3]
SrCa3 after structural relaxation, computed with PBE.

**Theoretical density**: 1.97 g/cm3
**Energy of formation from the pure elements**: 0.0351 eV/atom

CIF file:
```
data_SrCa3
_cell_length_a 8.8825
_cell_length_b 8.8825
_cell_length_c 8.8825
_cell_angle_alpha 90.00
_cell_angle_beta 90.00
_cell_angle_gamma 90.00
_symmetry_space_group_name_H-M 'F m -3 m'
_symmetry_Int_Tables_number 225
_symmetry_space_group_name_Hall '-F 4 2 3'
loop_
_atom_site_label
_atom_site_type_symbol
_atom_site_fract_x
_atom_site_fract_y
_atom_site_fract_z
_atom_site_occupancy
Sr1 Sr 0.0000 0.0000 0.0000 1
Ca1 Ca 0.0000 0.0000 0.5000 1
Ca2 Ca 0.2500 0.2500 0.2500 1
```